DFT (PBE with a Hubbard U) results for Li9Mn2Co5O16 after structural relaxation.

calculated volume = 8.9 A^3/atom
energy relative to the lowest polymorph listed for this composition = 11 meV per atom
final energy = -5.8433 eV/atom
space group = P-1, No. 2
spin magnetization = 10.00 μB/cell
energy of formation = -1852.9 meV per atom

```
32
Lattice="5.084 0.000 0.000 1.786 5.614 0.000 1.712 -0.331 9.942" Properties=species:S:1:pos:R:3 pbc="T T T"
Li 0.000 0.000 0.000
Li 0.856 -0.166 4.971
Li 0.893 2.807 0.000
Li 2.655 3.981 7.500
Li 5.141 4.728 6.256
Li 5.121 3.215 8.744
Li 3.461 2.067 1.199
Li 3.442 0.555 3.686
Li 5.928 1.301 2.442
Mn 4.264 0.411 8.714
Mn 4.319 4.871 1.229
Co 1.749 2.641 4.971
Co 1.772 4.134 2.455
Co 4.269 1.893 6.230
Co 4.314 3.390 3.712
Co 6.810 1.148 7.487
O 2.563 0.984 5.674
O 2.622 2.519 3.133
O 4.387 5.183 8.102
O 2.680 3.941 0.775
O 3.458 3.620 5.554
O 3.501 2.115 8.116
O 3.563 5.154 3.002
O 1.854 0.947 0.572
O 6.728 4.335 9.371
O 5.020 0.128 6.941
O 5.081 3.167 1.826
O 5.125 1.663 4.389
O 5.903 1.341 9.167
O 4.195 0.099 1.841
O 5.961 2.763 6.809
O 6.020 4.298 4.268
```